No. 1
Here is a relaxed structure of Ge2N2O from the Materials Project. Energies are from PBE-GGA.

Results
Its energy of formation from the pure elements is -2.86 eV per formula unit. The size of the total moment is 0.000 μB/atom. As for the space group: No. 7.

abc: 8.3976 5.3391 5.8988
angles: 64.64 90.00 90.00
Fractional coordinates of all 20 atoms:
Ge 0.5218 0.4691 0.7122
Ge 0.9031 0.4573 0.7563
Ge 0.7153 0.9052 0.8473
Ge 0.1980 0.0523 0.7942
Ge 0.2847 0.9052 0.3473
Ge 0.8020 0.0523 0.2942
Ge 0.4782 0.4691 0.2122
Ge 0.0969 0.4573 0.2563
N 0.7105 0.2795 0.7596
N 0.5370 0.6829 0.8886
N 0.8506 0.8312 0.6305
N 0.4630 0.6829 0.3886
N 0.0582 0.3363 0.6023
N 0.2895 0.2795 0.2596
N 0.9418 0.3363 0.1023
N 0.1494 0.8312 0.1305
O 0.3851 0.1842 0.8441
O 0.2087 0.8021 0.6648
O 0.6149 0.1842 0.3441
O 0.7913 0.8021 0.1648

No. 2
Here is a relaxed structure of Ge2N2O from the Materials Project. Energies are from PBE-GGA.

Results
Its energy of formation from the pure elements is -3.37 eV per formula unit. The calculation puts the piezoelectric modulus e_max at 0.32 C/m². As for the space group: No. 36.

abc: 5.1766 5.5441 5.5441
angles: 116.50 90.00 90.00
Fractional coordinates of all 10 atoms:
Ge 0.3824 0.3295 0.9791
Ge 0.8824 0.6705 0.0209
Ge 0.8824 0.0209 0.6705
Ge 0.3824 0.9791 0.3295
N 0.2311 0.0814 0.6633
N 0.7311 0.9186 0.3367
N 0.7311 0.3367 0.9186
N 0.2311 0.6633 0.0814
O 0.3009 0.2413 0.2413
O 0.8009 0.7587 0.7587

> Which of these has the highest energy of formation from the pure elements?

number 1

> energy of formation from the pure elements of number 2 (Ge2N2O)?

-3.37 eV per formula unit

Copy entry 2 word for word.
Here is a relaxed structure of Ge2N2O from the Materials Project. Energies are from PBE-GGA.

Results
Its energy of formation from the pure elements is -3.37 eV per formula unit. The calculation puts the piezoelectric modulus e_max at 0.32 C/m². As for the space group: No. 36.

abc: 5.1766 5.5441 5.5441
angles: 116.50 90.00 90.00
Fractional coordinates of all 10 atoms:
Ge 0.3824 0.3295 0.9791
Ge 0.8824 0.6705 0.0209
Ge 0.8824 0.0209 0.6705
Ge 0.3824 0.9791 0.3295
N 0.2311 0.0814 0.6633
N 0.7311 0.9186 0.3367
N 0.7311 0.3367 0.9186
N 0.2311 0.6633 0.0814
O 0.3009 0.2413 0.2413
O 0.8009 0.7587 0.7587